1.
This record from the Materials Project database describes crystalline ZrP2NCl11 at its relaxed geometry. The functional is PBE.

CIF file:
```
data_ZrP2NCl11
_space_group_name_H-M_alt 'C m c e'
_space_group_IT_number 64
_space_group_name_Hall '-C 2ac 2'
_cell_length_a 18.643
_cell_length_b 12.052
_cell_length_c 16.278
_cell_angle_alpha 90.00
_cell_angle_beta 90.00
_cell_angle_gamma 90.00
loop_
_atom_site_label
_atom_site_type_symbol
_atom_site_fract_x
_atom_site_fract_y
_atom_site_fract_z
_atom_site_occupancy
Zr1 Zr 0.000 0.148 0.066 1
P1 P 0.197 0.001 0.317 1
N1 N 0.250 0.048 0.250 1
Cl1 Cl 0.000 0.073 0.914 1
Cl2 Cl 0.000 0.160 0.525 1
Cl3 Cl 0.000 0.168 0.215 1
Cl4 Cl 0.118 0.089 0.729 1
Cl5 Cl 0.132 0.143 0.061 1
Cl6 Cl 0.152 0.127 0.376 1
Cl7 Cl 0.245 0.091 0.599 1
```

Calculated values
Raw total energy   -508.0 eV for the cell shown
Total magnetization   0.007 μB per atom



2.
This record from the Materials Project database describes crystalline PbN2Cl6 at its relaxed geometry. The functional is PBE.

CIF file:
```
data_PbN2Cl6
_space_group_name_H-M_alt 'F m -3 m'
_space_group_IT_number 225
_space_group_name_Hall '-F 4 2 3'
_cell_length_a 10.144
_cell_length_b 10.144
_cell_length_c 10.144
_cell_angle_alpha 90.00
_cell_angle_beta 90.00
_cell_angle_gamma 90.00
loop_
_atom_site_label
_atom_site_type_symbol
_atom_site_fract_x
_atom_site_fract_y
_atom_site_fract_z
_atom_site_occupancy
Pb1 Pb 0.000 0.000 0.000 1
N1 N 0.250 0.250 0.250 1
Cl1 Cl 0.000 0.000 0.253 1
```

Calculated values
Raw total energy   -88.1 eV for the cell shown
Total magnetization   0.444 μB per atom



3.
This record from the Materials Project database describes crystalline Pb2NCl5 at its relaxed geometry. The functional is PBE.

CIF file:
```
data_Pb2NCl5
_space_group_name_H-M_alt 'P 1 21/c 1'
_space_group_IT_number 14
_cell_length_a 8.770
_cell_length_b 8.006
_cell_length_c 12.516
_cell_angle_alpha 90.00
_cell_angle_beta 90.55
_cell_angle_gamma 90.00
loop_
_space_group_symop_operation_xyz
'x,y,z'
'-x,-y,-z'
'-x,y+1/2,-z+1/2'
'x,-y+1/2,z+1/2'
loop_
_atom_site_label
_atom_site_type_symbol
_atom_site_fract_x
_atom_site_fract_y
_atom_site_fract_z
_atom_site_occupancy
Pb1 Pb 0.004 0.025 0.175 1
Pb2 Pb 0.263 0.071 0.496 1
N1 N 0.493 0.557 0.336 1
Cl1 Cl 0.040 0.669 0.092 1
Cl2 Cl 0.215 0.650 0.819 1
Cl3 Cl 0.220 0.046 0.998 1
Cl4 Cl 0.222 0.183 0.712 1
Cl5 Cl 0.456 0.674 0.079 1
```

Calculated values
Raw total energy   -103.9 eV for the cell shown
Total magnetization   0.273 μB per atom



4.
This record from the Materials Project database describes crystalline PdN2Cl2 at its relaxed geometry. The functional is PBE.

CIF file:
```
data_PdN2Cl2
_space_group_name_H-M_alt 'P 1'
_space_group_IT_number 1
_cell_length_a 3.240
_cell_length_b 4.053
_cell_length_c 8.613
_cell_angle_alpha 97.18
_cell_angle_beta 94.26
_cell_angle_gamma 109.04
loop_
_space_group_symop_operation_xyz
'x,y,z'
loop_
_atom_site_label
_atom_site_type_symbol
_atom_site_fract_x
_atom_site_fract_y
_atom_site_fract_z
_atom_site_occupancy
Pd1 Pd 0.000 0.000 0.000 1
N1 N 0.450 0.939 0.859 1
N2 N 0.551 0.060 0.140 1
Cl1 Cl 0.427 0.973 0.668 1
Cl2 Cl 0.674 0.255 0.328 1
```

Calculated values
Relative energy among the computed polymorphs   0 meV/atom
Total magnetization   0.000 μB per atom



5.
This record from the Materials Project database describes crystalline PdN2Cl2 at its relaxed geometry. The functional is PBE.

CIF file:
```
data_PdN2Cl2
_space_group_name_H-M_alt 'P 1'
_space_group_IT_number 1
_cell_length_a 3.694
_cell_length_b 4.529
_cell_length_c 7.686
_cell_angle_alpha 104.68
_cell_angle_beta 99.93
_cell_angle_gamma 93.76
loop_
_space_group_symop_operation_xyz
'x,y,z'
loop_
_atom_site_label
_atom_site_type_symbol
_atom_site_fract_x
_atom_site_fract_y
_atom_site_fract_z
_atom_site_occupancy
Pd1 Pd 0.000 0.000 0.000 1
N1 N 0.050 0.863 0.214 1
N2 N 0.928 0.045 0.768 1
Cl1 Cl 0.088 0.517 0.244 1
Cl2 Cl 0.833 0.270 0.634 1
```

Calculated values
Relative energy among the computed polymorphs   299 meV/atom
Total magnetization   0.001 μB per atom



6.
This record from the Materials Project database describes crystalline PdN2Cl6 at its relaxed geometry. The functional is PBE.

CIF file:
```
data_PdN2Cl6
_space_group_name_H-M_alt 'F m -3 m'
_space_group_IT_number 225
_space_group_name_Hall '-F 4 2 3'
_cell_length_a 9.937
_cell_length_b 9.937
_cell_length_c 9.937
_cell_angle_alpha 90.00
_cell_angle_beta 90.00
_cell_angle_gamma 90.00
loop_
_atom_site_label
_atom_site_type_symbol
_atom_site_fract_x
_atom_site_fract_y
_atom_site_fract_z
_atom_site_occupancy
Pd1 Pd 0.000 0.000 0.000 1
N1 N 0.250 0.250 0.250 1
Cl1 Cl 0.000 0.000 0.233 1
```

Calculated values
Raw total energy   -89.6 eV for the cell shown
Total magnetization   0.196 μB per atom



7.
This record from the Materials Project database describes crystalline PdN2Cl2 at its relaxed geometry. The functional is PBE.

CIF file:
```
data_PdN2Cl2
_space_group_name_H-M_alt 'P 1'
_space_group_IT_number 1
_cell_length_a 3.780
_cell_length_b 4.477
_cell_length_c 7.305
_cell_angle_alpha 90.87
_cell_angle_beta 101.48
_cell_angle_gamma 94.07
loop_
_space_group_symop_operation_xyz
'x,y,z'
loop_
_atom_site_label
_atom_site_type_symbol
_atom_site_fract_x
_atom_site_fract_y
_atom_site_fract_z
_atom_site_occupancy
Pd1 Pd 0.000 0.000 0.000 1
N1 N 0.023 0.737 0.790 1
N2 N 0.102 0.757 0.224 1
Cl1 Cl 0.098 0.074 0.352 1
Cl2 Cl 0.808 0.388 0.766 1
```

Calculated values
Relative energy among the computed polymorphs   320 meV/atom
Total magnetization   0.400 μB per atom



8.
This record from the Materials Project database describes crystalline Pr2NCl3 at its relaxed geometry. The functional is PBE.

CIF file:
```
data_Pr2NCl3
_space_group_name_H-M_alt 'I b a m'
_space_group_IT_number 72
_space_group_name_Hall '-I 2 2c'
_cell_length_a 6.920
_cell_length_b 13.725
_cell_length_c 6.219
_cell_angle_alpha 90.00
_cell_angle_beta 90.00
_cell_angle_gamma 90.00
loop_
_atom_site_label
_atom_site_type_symbol
_atom_site_fract_x
_atom_site_fract_y
_atom_site_fract_z
_atom_site_occupancy
Pr1 Pr 0.176 0.093 0.000 1
N1 N 0.000 0.000 0.250 1
Cl1 Cl 0.000 0.500 0.250 1
Cl2 Cl 0.174 0.203 0.500 1
```

Calculated values
Raw total energy   -143.5 eV for the cell shown